Entry from the Materials Project: crystalline Ba2SrFeO6 at its relaxed geometry (PBE with a Hubbard U).

Computed properties:
M_tot = 0.20 μB per atom
DFT formation energy = -2.287 eV/atom

Lattice parameters (Å, degrees): 6.046 6.046 6.046 60.00 60.00 60.00
Fractional positions:
Ba1 0.250 0.250 0.250
Ba2 0.750 0.750 0.750
Sr1 0.000 0.000 0.000
Fe1 0.500 0.500 0.500
O1 0.279 0.279 0.721
O2 0.279 0.721 0.279
O3 0.279 0.721 0.721
O4 0.721 0.279 0.279
O5 0.721 0.279 0.721
O6 0.721 0.721 0.279


Entry from the Materials Project: crystalline CsVP4O12 at its relaxed geometry (PBE with a Hubbard U).

Computed properties:
M_tot = 0.11 μB per atom
DFT formation energy = -2.638 eV/atom

Lattice parameters (Å, degrees): 14.821 14.821 14.821 90.00 90.00 90.00
Fractional positions:
Cs1 0.000 0.000 0.000
Cs2 0.000 0.500 0.500
Cs3 0.157 0.657 0.843
Cs4 0.157 0.843 0.343
Cs5 0.343 0.157 0.843
Cs6 0.343 0.343 0.343
Cs7 0.500 0.000 0.500
Cs8 0.500 0.500 0.000
Cs9 0.657 0.657 0.657
Cs10 0.657 0.843 0.157
Cs11 0.843 0.157 0.657
Cs12 0.843 0.343 0.157
V1 0.000 0.000 0.500
V2 0.000 0.500 0.000
V3 0.190 0.190 0.190
V4 0.190 0.310 0.690
V5 0.310 0.690 0.190
V6 0.310 0.810 0.690
V7 0.500 0.000 0.000
V8 0.500 0.500 0.500
V9 0.690 0.190 0.310
V10 0.690 0.310 0.810
V11 0.810 0.690 0.310
V12 0.810 0.810 0.810
P1 0.022 0.085 0.288
P2 0.022 0.415 0.788
P3 0.050 0.222 0.834
P4 0.050 0.278 0.334
P5 0.085 0.212 0.522
P6 0.085 0.288 0.022
P7 0.166 0.550 0.278
P8 0.166 0.950 0.778
P9 0.212 0.522 0.085
P10 0.212 0.978 0.585
P11 0.222 0.666 0.550
P12 0.222 0.834 0.050
P13 0.278 0.166 0.550
P14 0.278 0.334 0.050
P15 0.288 0.022 0.085
P16 0.288 0.478 0.585
P17 0.334 0.050 0.278
P18 0.334 0.450 0.778
P19 0.415 0.712 0.522
P20 0.415 0.788 0.022
P21 0.450 0.722 0.834
P22 0.450 0.778 0.334
P23 0.478 0.585 0.288
P24 0.478 0.915 0.788
P25 0.522 0.085 0.212
P26 0.522 0.415 0.712
P27 0.550 0.222 0.666
P28 0.550 0.278 0.166
P29 0.585 0.212 0.978
P30 0.585 0.288 0.478
P31 0.666 0.550 0.222
P32 0.666 0.950 0.722
P33 0.712 0.522 0.415
P34 0.712 0.978 0.915
P35 0.722 0.666 0.950
P36 0.722 0.834 0.450
P37 0.778 0.166 0.950
P38 0.778 0.334 0.450
P39 0.788 0.022 0.415
P40 0.788 0.478 0.915
P41 0.834 0.050 0.222
P42 0.834 0.450 0.722
P43 0.915 0.712 0.978
P44 0.915 0.788 0.478
P45 0.950 0.722 0.666
P46 0.950 0.778 0.166
P47 0.978 0.585 0.212
P48 0.978 0.915 0.712
O1 0.005 0.684 0.179
O2 0.005 0.816 0.679
O3 0.007 0.645 0.693
O4 0.007 0.855 0.193
O5 0.020 0.135 0.521
O6 0.020 0.365 0.021
O7 0.021 0.020 0.365
O8 0.021 0.480 0.865
O9 0.057 0.562 0.282
O10 0.057 0.938 0.782
O11 0.062 0.218 0.943
O12 0.062 0.282 0.443
O13 0.087 0.233 0.109
O14 0.087 0.267 0.609
O15 0.109 0.087 0.233
O16 0.109 0.413 0.733
O17 0.135 0.521 0.020
O18 0.135 0.979 0.520
O19 0.143 0.236 0.794
O20 0.143 0.264 0.294
O21 0.145 0.693 0.493
O22 0.145 0.807 0.993
O23 0.179 0.005 0.684
O24 0.179 0.495 0.184
O25 0.184 0.179 0.495
O26 0.184 0.321 0.995
O27 0.193 0.007 0.855
O28 0.193 0.493 0.355
O29 0.206 0.643 0.264
O30 0.206 0.857 0.764
O31 0.218 0.557 0.562
O32 0.218 0.943 0.062
O33 0.233 0.109 0.087
O34 0.233 0.391 0.587
O35 0.236 0.706 0.643
O36 0.236 0.794 0.143
O37 0.264 0.206 0.643
O38 0.264 0.294 0.143
O39 0.267 0.609 0.087
O40 0.267 0.891 0.587
O41 0.282 0.057 0.562
O42 0.282 0.443 0.062
O43 0.294 0.143 0.264
O44 0.294 0.357 0.764
O45 0.307 0.507 0.855
O46 0.307 0.993 0.355
O47 0.316 0.679 0.495
O48 0.316 0.821 0.995
O49 0.321 0.505 0.684
O50 0.321 0.995 0.184
O51 0.355 0.193 0.493
O52 0.355 0.307 0.993
O53 0.357 0.736 0.794
O54 0.357 0.764 0.294
O55 0.365 0.021 0.020
O56 0.365 0.479 0.520
O57 0.391 0.587 0.233
O58 0.391 0.913 0.733
O59 0.413 0.733 0.109
O60 0.413 0.767 0.609
O61 0.438 0.718 0.943
O62 0.438 0.782 0.443
O63 0.443 0.062 0.282
O64 0.443 0.438 0.782
O65 0.479 0.520 0.365
O66 0.479 0.980 0.865
O67 0.480 0.635 0.521
O68 0.480 0.865 0.021
O69 0.493 0.145 0.693
O70 0.493 0.355 0.193
O71 0.495 0.184 0.179
O72 0.495 0.316 0.679
O73 0.505 0.684 0.321
O74 0.505 0.816 0.821
O75 0.507 0.645 0.807
O76 0.507 0.855 0.307
O77 0.520 0.135 0.979
O78 0.520 0.365 0.479
O79 0.521 0.020 0.135
O80 0.521 0.480 0.635
O81 0.557 0.562 0.218
O82 0.557 0.938 0.718
O83 0.562 0.218 0.557
O84 0.562 0.282 0.057
O85 0.587 0.233 0.391
O86 0.587 0.267 0.891
O87 0.609 0.087 0.267
O88 0.609 0.413 0.767
O89 0.635 0.521 0.480
O90 0.635 0.979 0.980
O91 0.643 0.236 0.706
O92 0.643 0.264 0.206
O93 0.645 0.693 0.007
O94 0.645 0.807 0.507
O95 0.679 0.005 0.816
O96 0.679 0.495 0.316
O97 0.684 0.179 0.005
O98 0.684 0.321 0.505
O99 0.693 0.007 0.645
O100 0.693 0.493 0.145
O101 0.706 0.643 0.236
O102 0.706 0.857 0.736
O103 0.718 0.557 0.938
O104 0.718 0.943 0.438
O105 0.733 0.109 0.413
O106 0.733 0.391 0.913
O107 0.736 0.706 0.857
O108 0.736 0.794 0.357
O109 0.764 0.206 0.857
O110 0.764 0.294 0.357
O111 0.767 0.609 0.413
O112 0.767 0.891 0.913
O113 0.782 0.057 0.938
O114 0.782 0.443 0.438
O115 0.794 0.143 0.236
O116 0.794 0.357 0.736
O117 0.807 0.507 0.645
O118 0.807 0.993 0.145
O119 0.816 0.679 0.005
O120 0.816 0.821 0.505
O121 0.821 0.505 0.816
O122 0.821 0.995 0.316
O123 0.855 0.193 0.007
O124 0.855 0.307 0.507
O125 0.857 0.736 0.706
O126 0.857 0.764 0.206
O127 0.865 0.021 0.480
O128 0.865 0.479 0.980
O129 0.891 0.587 0.267
O130 0.891 0.913 0.767
O131 0.913 0.733 0.391
O132 0.913 0.767 0.891
O133 0.938 0.718 0.557
O134 0.938 0.782 0.057
O135 0.943 0.062 0.218
O136 0.943 0.438 0.718
O137 0.979 0.520 0.135
O138 0.979 0.980 0.635
O139 0.980 0.635 0.979
O140 0.980 0.865 0.479
O141 0.993 0.145 0.807
O142 0.993 0.355 0.307
O143 0.995 0.184 0.321
O144 0.995 0.316 0.821


Entry from the Materials Project: crystalline LiMnAsO4 at its relaxed geometry (PBE with a Hubbard U).

Computed properties:
M_tot = 0.00 μB per atom
DFT formation energy = -2.077 eV/atom

Lattice parameters (Å, degrees): 10.916 6.246 4.999 90.00 90.00 90.00
Fractional positions:
Li1 0.000 0.000 0.000
Li2 0.000 0.500 0.000
Li3 0.500 0.000 0.500
Li4 0.500 0.500 0.500
Mn1 0.223 0.250 0.490
Mn2 0.277 0.750 0.990
Mn3 0.723 0.250 0.010
Mn4 0.777 0.750 0.510
As1 0.091 0.750 0.429
As2 0.409 0.250 0.929
As3 0.591 0.750 0.071
As4 0.909 0.250 0.571
O1 0.053 0.250 0.715
O2 0.094 0.750 0.771
O3 0.166 0.535 0.278
O4 0.166 0.965 0.278
O5 0.334 0.035 0.778
O6 0.334 0.465 0.778
O7 0.406 0.250 0.271
O8 0.447 0.750 0.215
O9 0.553 0.250 0.785
O10 0.594 0.750 0.729
O11 0.666 0.535 0.222
O12 0.666 0.965 0.222
O13 0.834 0.035 0.722
O14 0.834 0.465 0.722
O15 0.906 0.250 0.229
O16 0.947 0.750 0.285


Entry from the Materials Project: crystalline Li9Mn2Co5O16 at its relaxed geometry (PBE with a Hubbard U).

Computed properties:
M_tot = 0.44 μB per atom
DFT formation energy = -1.834 eV/atom
excess energy over the best structure of this formula in the dataset = 30.2 meV/atom

Lattice parameters (Å, degrees): 5.194 5.922 10.293 104.65 95.18 109.11
Fractional positions:
Li1 0.000 0.000 0.000
Li2 0.000 0.254 0.493
Li3 0.002 0.509 0.000
Li4 0.003 0.125 0.740
Li5 0.005 0.368 0.248
Li6 0.007 0.619 0.744
Li7 0.007 0.886 0.248
Li8 0.501 0.313 0.369
Li9 0.997 0.745 0.491
Mn1 0.504 0.817 0.369
Mn2 0.505 0.061 0.871
Co1 0.496 0.950 0.124
Co2 0.500 0.436 0.122
Co3 0.500 0.560 0.870
Co4 0.502 0.670 0.612
Co5 0.507 0.186 0.620
O1 0.264 0.556 0.438
O2 0.267 0.687 0.189
O3 0.270 0.419 0.695
O4 0.270 0.801 0.938
O5 0.271 0.176 0.178
O6 0.283 0.921 0.689
O7 0.292 0.027 0.440
O8 0.292 0.276 0.931
O9 0.714 0.608 0.302
O10 0.716 0.693 0.049
O11 0.716 0.846 0.811
O12 0.730 0.465 0.570
O13 0.733 0.074 0.299
O14 0.735 0.323 0.805
O15 0.736 0.199 0.052
O16 0.744 0.953 0.546


Entry from the Materials Project: crystalline Cr4O15 at its relaxed geometry (PBE with a Hubbard U).

Computed properties:
M_tot = 0.11 μB per atom
DFT formation energy = -0.837 eV/atom

Lattice parameters (Å, degrees): 9.020 7.942 9.318 90.00 93.22 90.00
Fractional positions:
Cr1 0.000 0.059 0.000
Cr2 0.000 0.941 0.500
Cr3 0.007 0.388 0.229
Cr4 0.007 0.612 0.729
Cr5 0.323 0.420 0.863
Cr6 0.323 0.580 0.363
Cr7 0.655 0.081 0.949
Cr8 0.655 0.919 0.449
O1 0.013 0.183 0.866
O2 0.013 0.817 0.366
O3 0.019 0.178 0.161
O4 0.019 0.822 0.661
O5 0.124 0.083 0.497
O6 0.124 0.917 0.997
O7 0.172 0.439 0.332
O8 0.172 0.561 0.832
O9 0.313 0.318 0.011
O10 0.313 0.682 0.511
O11 0.347 0.297 0.731
O12 0.347 0.703 0.231
O13 0.399 0.080 0.326
O14 0.399 0.920 0.826
O15 0.483 0.059 0.439
O16 0.483 0.941 0.939
O17 0.503 0.450 0.385
O18 0.503 0.550 0.885
O19 0.574 0.425 0.505
O20 0.574 0.575 0.005
O21 0.637 0.215 0.075
O22 0.637 0.785 0.575
O23 0.661 0.170 0.796
O24 0.661 0.830 0.296
O25 0.822 0.038 0.485
O26 0.822 0.962 0.985
O27 0.866 0.398 0.325
O28 0.866 0.602 0.825
O29 0.984 0.481 0.601
O30 0.984 0.519 0.101


Entry from the Materials Project: crystalline CaV4Co2O14 at its relaxed geometry (PBE with a Hubbard U).

Computed properties:
M_tot = 0.10 μB per atom
DFT formation energy = -2.131 eV/atom

Lattice parameters (Å, degrees): 6.823 14.657 11.258 90.00 101.49 90.00
Fractional positions:
Ca1 0.175 0.124 0.028
Ca2 0.175 0.376 0.528
Ca3 0.825 0.624 0.472
Ca4 0.825 0.876 0.972
V1 0.007 0.704 0.794
V2 0.007 0.796 0.294
V3 0.082 0.509 0.813
V4 0.082 0.991 0.313
V5 0.341 0.635 0.482
V6 0.341 0.865 0.982
V7 0.373 0.137 0.481
V8 0.373 0.363 0.981
V9 0.627 0.637 0.019
V10 0.627 0.863 0.519
V11 0.659 0.135 0.018
V12 0.659 0.365 0.518
V13 0.918 0.009 0.687
V14 0.918 0.491 0.187
V15 0.993 0.204 0.706
V16 0.993 0.296 0.206
Co1 0.139 0.671 0.079
Co2 0.139 0.829 0.579
Co3 0.497 0.744 0.748
Co4 0.497 0.756 0.248
Co5 0.503 0.244 0.752
Co6 0.503 0.256 0.252
Co7 0.861 0.171 0.421
Co8 0.861 0.329 0.921
O1 0.061 0.107 0.797
O2 0.061 0.393 0.297
O3 0.097 0.622 0.913
O4 0.097 0.878 0.413
O5 0.105 0.566 0.167
O6 0.105 0.934 0.667
O7 0.131 0.710 0.463
O8 0.131 0.790 0.963
O9 0.167 0.209 0.451
O10 0.167 0.291 0.951
O11 0.191 0.031 0.205
O12 0.191 0.469 0.705
O13 0.194 0.749 0.222
O14 0.194 0.751 0.722
O15 0.206 0.234 0.209
O16 0.206 0.266 0.709
O17 0.251 0.528 0.471
O18 0.251 0.972 0.971
O19 0.274 0.026 0.448
O20 0.274 0.474 0.948
O21 0.440 0.665 0.106
O22 0.440 0.835 0.606
O23 0.479 0.144 0.630
O24 0.479 0.356 0.130
O25 0.492 0.654 0.625
O26 0.492 0.660 0.375
O27 0.492 0.840 0.875
O28 0.492 0.846 0.125
O29 0.508 0.154 0.875
O30 0.508 0.160 0.125
O31 0.508 0.340 0.625
O32 0.508 0.346 0.375
O33 0.521 0.644 0.870
O34 0.521 0.856 0.370
O35 0.560 0.165 0.394
O36 0.560 0.335 0.894
O37 0.726 0.526 0.052
O38 0.726 0.974 0.552
O39 0.749 0.028 0.029
O40 0.749 0.472 0.529
O41 0.794 0.734 0.291
O42 0.794 0.766 0.791
O43 0.806 0.249 0.278
O44 0.806 0.251 0.778
O45 0.809 0.531 0.295
O46 0.809 0.969 0.795
O47 0.833 0.709 0.049
O48 0.833 0.791 0.549
O49 0.869 0.210 0.037
O50 0.869 0.290 0.537
O51 0.895 0.066 0.333
O52 0.895 0.434 0.833
O53 0.903 0.122 0.587
O54 0.903 0.378 0.087
O55 0.939 0.607 0.703
O56 0.939 0.893 0.203